This record from the Materials Project database describes a geometry-optimized Li5FeO4 structure. The functional is PBE with a Hubbard U.

a b c (Å): 9.5627 5.2454 8.5619
angles (deg): 74.50 90.00 90.00
Fractional positions:
Li (0.9262, 0.5746, 0.6552)
Li (0.0454, 0.7499, 0.0395)
Li (0.5454, 0.7501, 0.9605)
Li (0.8030, 0.1197, 0.5369)
Li (0.4262, 0.9254, 0.3448)
Li (0.1785, 0.5019, 0.8485)
Li (0.3030, 0.3803, 0.4631)
Li (0.8133, 0.8423, 0.8581)
Li (0.1970, 0.8803, 0.4631)
Li (0.3133, 0.6577, 0.1419)
Li (0.8215, 0.4981, 0.1515)
Li (0.4546, 0.2499, 0.0395)
Li (0.9546, 0.2501, 0.9605)
Li (0.6785, 0.9981, 0.1515)
Li (0.1867, 0.1577, 0.1419)
Li (0.5738, 0.0746, 0.6552)
Li (0.6970, 0.6197, 0.5369)
Li (0.0738, 0.4254, 0.3448)
Li (0.3215, 0.0019, 0.8485)
Li (0.6867, 0.3423, 0.8581)
Fe (0.5473, 0.4428, 0.2683)
Fe (0.9527, 0.9428, 0.2683)
Fe (0.4527, 0.5572, 0.7317)
Fe (0.0473, 0.0572, 0.7317)
O (0.4951, 0.1891, 0.8237)
O (0.1370, 0.7881, 0.2588)
O (0.8630, 0.2119, 0.7412)
O (0.8627, 0.8195, 0.4656)
O (0.3627, 0.6805, 0.5344)
O (0.3630, 0.2881, 0.2588)
O (0.9951, 0.3109, 0.1763)
O (0.1373, 0.1805, 0.5344)
O (0.0049, 0.6891, 0.8237)
O (0.6482, 0.3719, 0.0892)
O (0.3518, 0.6281, 0.9108)
O (0.6373, 0.3195, 0.4656)
O (0.1482, 0.1281, 0.9108)
O (0.8518, 0.8719, 0.0892)
O (0.5049, 0.8109, 0.1763)
O (0.6370, 0.7119, 0.7412)

E = -5.2509 eV per atom
Energy above the most stable polymorph in this dataset = 0.71 eV/f.u.
Crystal system = monoclinic
Formation energy = -1971 meV/atom